No. 1
First-principles (PBE+U) data for a relaxed Co7Sb2O12 crystal, as listed in the Materials Project database.

DFT formation energy   -1.537 eV per atom
Crystal system   monoclinic

Structure (POSCAR):
```
Co7Sb2O12
1.0
4.340 -4.369 0.000
4.340 4.369 0.000
-4.036 0.000 12.955
Co Sb O
14 4 24
direct
0.000 0.000 0.000
0.000 0.000 0.500
0.000 0.500 0.500
0.142 0.858 0.750
0.164 0.681 0.339
0.202 0.480 0.921
0.319 0.836 0.161
0.480 0.202 0.421
0.500 0.000 0.000
0.520 0.798 0.579
0.681 0.164 0.839
0.798 0.520 0.079
0.836 0.319 0.661
0.858 0.142 0.250
0.320 0.334 0.164
0.334 0.320 0.664
0.666 0.680 0.336
0.680 0.666 0.836
0.099 0.102 0.168
0.101 0.547 0.664
0.102 0.099 0.668
0.107 0.578 0.173
0.219 0.750 0.495
0.250 0.781 0.005
0.256 0.256 0.011
0.256 0.256 0.511
0.419 0.435 0.325
0.422 0.893 0.327
0.435 0.419 0.825
0.453 0.899 0.836
0.547 0.101 0.164
0.565 0.581 0.175
0.578 0.107 0.673
0.581 0.565 0.675
0.744 0.744 0.489
0.744 0.744 0.989
0.750 0.219 0.995
0.781 0.250 0.505
0.893 0.422 0.827
0.898 0.901 0.332
0.899 0.453 0.336
0.901 0.898 0.832
```


No. 2
First-principles (PBE+U) data for a relaxed VCrO3 crystal, as listed in the Materials Project database.

DFT formation energy   -2.441 eV per atom
Crystal system   triclinic

Structure (POSCAR):
```
VCrO3
1.0
5.120 0.000 0.000
2.540 4.872 0.000
0.006 2.694 8.457
V Cr O
4 4 12
direct
0.000 0.000 0.000
0.051 0.893 0.347
0.250 0.500 0.748
0.801 0.393 0.599
0.299 0.400 0.097
0.501 0.994 0.497
0.550 0.899 0.850
0.752 0.493 0.250
0.000 0.692 0.200
0.051 0.201 0.147
0.054 0.196 0.449
0.099 0.194 0.799
0.456 0.694 0.050
0.496 0.701 0.701
0.501 0.696 0.397
0.550 0.197 0.951
0.552 0.193 0.647
0.595 0.199 0.297
0.951 0.700 0.548
0.998 0.697 0.897
```


Question: Which value of DFT formation energy does entry 2 give?
Answer: -2.441 eV per atom


Question: Look up the DFT formation energy of the second one.
Answer: -2.441 eV per atom